1.
Density functional theory data (GGA-PBE) for an optimized crystal structure of ErI3O9.

Computed properties:
- Total DFT energy (no corrections): -5.14 eV per atom
- E_form: -19.378 eV per formula unit

```
data_ErI3O9
_chemical_formula_sum 'Er4 I12 O36'
_cell_length_a 8.770
_cell_length_b 6.158
_cell_length_c 16.709
_cell_angle_alpha 90.00
_cell_angle_beta 114.77
_cell_angle_gamma 90.00
_symmetry_space_group_name_H-M 'P 1 21/c 1'
_symmetry_Int_Tables_number 14
loop_
_symmetry_equiv_pos_as_xyz
'x,y,z'
'-x,-y,-z'
'-x,y+1/2,-z+1/2'
'x,-y+1/2,z+1/2'
loop_
_atom_site_label
_atom_site_type_symbol
_atom_site_fract_x
_atom_site_fract_y
_atom_site_fract_z
Er1 Er 0.149 0.211 0.106
I1 I 0.074 0.189 0.360
I2 I 0.353 0.646 0.519
I3 I 0.418 0.596 0.802
O1 O 0.059 0.053 0.683
O2 O 0.095 0.605 0.669
O3 O 0.120 0.136 0.475
O4 O 0.123 0.631 0.483
O5 O 0.342 0.583 0.889
O6 O 0.343 0.175 0.256
O7 O 0.353 0.068 0.940
O8 O 0.362 0.014 0.636
O9 O 0.387 0.027 0.116
```

2.
Density functional theory data (GGA-PBE) for an optimized crystal structure of LiCu2F5.

Computed properties:
- Total DFT energy (no corrections): -4.22 eV per atom
- E_form: -16.384 eV per formula unit

```
data_LiCu2F5
_chemical_formula_sum 'Li8 Cu16 F40'
_cell_length_a 10.030
_cell_length_b 10.030
_cell_length_c 12.288
_cell_angle_alpha 90.00
_cell_angle_beta 90.00
_cell_angle_gamma 90.00
_symmetry_space_group_name_H-M 'P 42/n b c'
_symmetry_Int_Tables_number 133
loop_
_symmetry_equiv_pos_as_xyz
'x,y,z'
'-x,-y,-z'
'-y+1/2,x,z+1/2'
'y+1/2,-x,-z+1/2'
'-x+1/2,-y+1/2,z'
'x+1/2,y+1/2,-z'
'y,-x+1/2,z+1/2'
'-y,x+1/2,-z+1/2'
'x,-y+1/2,-z'
'-x,y+1/2,z'
'-y+1/2,-x+1/2,-z+1/2'
'y+1/2,x+1/2,z+1/2'
'-x+1/2,y,-z'
'x+1/2,-y,z'
'y,x,-z+1/2'
'-y,-x,z+1/2'
loop_
_atom_site_label
_atom_site_type_symbol
_atom_site_fract_x
_atom_site_fract_y
_atom_site_fract_z
Li1 Li 0.250 0.250 0.000
Li2 Li 0.250 0.250 0.250
Cu1 Cu 0.031 0.048 0.108
F1 F 0.013 0.013 0.750
F2 F 0.055 0.104 0.538
F3 F 0.131 0.197 0.140
```

3.
Density functional theory data (GGA-PBE) for an optimized crystal structure of NiH24C6S6Br2N12.

Computed properties:
- Total DFT energy (no corrections): -5.56 eV per atom
- E_form: -20.281 eV per formula unit

```
data_NiH24C6S6Br2N12
_chemical_formula_sum 'Ni4 H96 C24 S24 Br8 N48'
_cell_length_a 23.683
_cell_length_b 9.064
_cell_length_c 16.802
_cell_angle_alpha 90.00
_cell_angle_beta 132.49
_cell_angle_gamma 90.00
_symmetry_space_group_name_H-M 'C 1 2/c 1'
_symmetry_Int_Tables_number 15
loop_
_symmetry_equiv_pos_as_xyz
'x,y,z'
'-x,-y,-z'
'-x,y,-z+1/2'
'x,-y,z+1/2'
'x+1/2,y+1/2,z'
'-x+1/2,-y+1/2,-z'
'-x+1/2,y+1/2,-z+1/2'
'x+1/2,-y+1/2,z+1/2'
loop_
_atom_site_label
_atom_site_type_symbol
_atom_site_fract_x
_atom_site_fract_y
_atom_site_fract_z
Ni1 Ni 0.250 0.250 0.000
H1 H 0.011 0.005 0.890
H2 H 0.012 0.146 0.565
H3 H 0.045 0.368 0.985
H4 H 0.045 0.469 0.202
H5 H 0.090 0.377 0.789
H6 H 0.091 0.241 0.263
H7 H 0.113 0.407 0.975
H8 H 0.165 0.347 0.632
H9 H 0.175 0.209 0.397
H10 H 0.185 0.016 0.054
H11 H 0.198 0.083 0.656
H12 H 0.224 0.499 0.174
C1 C 0.066 0.203 0.924
C2 C 0.141 0.425 0.358
C3 C 0.240 0.392 0.795
S1 S 0.117 0.143 0.892
S2 S 0.214 0.490 0.486
S3 S 0.217 0.239 0.827
Br1 Br 0.029 0.275 0.451
N1 N 0.014 0.113 0.909
N2 N 0.074 0.338 0.962
N3 N 0.087 0.488 0.777
N4 N 0.136 0.280 0.338
N5 N 0.211 0.409 0.694
N6 N 0.213 0.003 0.134
```

4.
Density functional theory data (GGA-PBE) for an optimized crystal structure of K2FeCuC12.

Computed properties:
- Total DFT energy (no corrections): -6.60 eV per atom
- E_form: 20.010 eV per formula unit

```
data_K2FeCuC12
_chemical_formula_sum 'K8 Fe4 Cu4 C48'
_cell_length_a 10.105
_cell_length_b 10.105
_cell_length_c 10.105
_cell_angle_alpha 90.00
_cell_angle_beta 90.00
_cell_angle_gamma 90.00
_symmetry_space_group_name_H-M 'F m -3 m'
_symmetry_Int_Tables_number 225
_symmetry_space_group_name_Hall '-F 4 2 3'
loop_
_atom_site_label
_atom_site_type_symbol
_atom_site_fract_x
_atom_site_fract_y
_atom_site_fract_z
K1 K 0.250 0.250 0.250
Fe1 Fe 0.000 0.000 0.000
Cu1 Cu 0.000 0.000 0.500
C1 C 0.000 0.000 0.189
C2 C 0.000 0.000 0.312
```

5.
Density functional theory data (GGA-PBE) for an optimized crystal structure of Na7AlSn11P18O72.

Computed properties:
- Total DFT energy (no corrections): -6.79 eV per atom
- E_form: -278.826 eV per formula unit

```
data_Na7AlSn11P18O72
_chemical_formula_sum 'Na7 Al1 Sn11 P18 O72'
_cell_length_a 8.664
_cell_length_b 9.056
_cell_length_c 21.400
_cell_angle_alpha 87.93
_cell_angle_beta 89.90
_cell_angle_gamma 61.45
_symmetry_space_group_name_H-M 'P 1'
_symmetry_Int_Tables_number 1
loop_
_symmetry_equiv_pos_as_xyz
'x,y,z'
loop_
_atom_site_label
_atom_site_type_symbol
_atom_site_fract_x
_atom_site_fract_y
_atom_site_fract_z
Na1 Na 0.000 0.000 0.000
Na2 Na 0.000 0.000 0.499
Na3 Na 0.330 0.332 0.164
Na4 Na 0.333 0.333 0.666
Na5 Na 0.445 0.450 0.297
Na6 Na 0.666 0.666 0.833
Na7 Na 0.672 0.664 0.332
Al1 Al 0.871 0.268 0.283
Sn1 Sn 0.132 0.729 0.213
Sn2 Sn 0.136 0.727 0.716
Sn3 Sn 0.194 0.612 0.451
Sn4 Sn 0.197 0.606 0.950
Sn5 Sn 0.469 0.059 0.382
Sn6 Sn 0.472 0.055 0.882
Sn7 Sn 0.525 0.946 0.119
Sn8 Sn 0.530 0.939 0.617
Sn9 Sn 0.803 0.393 0.049
Sn10 Sn 0.806 0.388 0.549
Sn11 Sn 0.860 0.278 0.785
P1 P 0.040 0.334 0.916
P2 P 0.092 0.103 0.155
P3 P 0.130 0.428 0.318
P4 P 0.186 0.910 0.346
P5 P 0.236 0.235 0.513
P6 P 0.292 0.999 0.750
P7 P 0.374 0.667 0.583
P8 P 0.431 0.431 0.819
P9 P 0.473 0.763 0.986
P10 P 0.527 0.236 0.014
P11 P 0.575 0.564 0.182
P12 P 0.633 0.329 0.416
P13 P 0.708 0.009 0.250
P14 P 0.764 0.764 0.486
P15 P 0.806 0.097 0.652
P16 P 0.860 0.569 0.681
P17 P 0.902 0.902 0.847
P18 P 0.958 0.666 0.083
O1 O 0.015 0.713 0.020
O2 O 0.020 0.078 0.335
O3 O 0.020 0.201 0.214
O4 O 0.028 0.589 0.678
O5 O 0.036 0.830 0.902
O6 O 0.058 0.495 0.918
O7 O 0.067 0.228 0.531
O8 O 0.103 0.625 0.134
O9 O 0.115 0.548 0.370
O10 O 0.120 0.156 0.766
O11 O 0.135 0.917 0.162
O12 O 0.154 0.506 0.255
O13 O 0.177 0.832 0.411
O14 O 0.198 0.419 0.503
O15 O 0.212 0.177 0.900
O16 O 0.218 0.777 0.296
O17 O 0.230 0.708 0.532
O18 O 0.263 0.108 0.137
O19 O 0.275 0.838 0.748
O20 O 0.296 0.503 0.764
O21 O 0.299 0.132 0.454
O22 O 0.304 0.744 0.988
O23 O 0.311 0.265 0.325
O24 O 0.318 0.621 0.646
O25 O 0.348 0.046 0.687
O26 O 0.356 0.405 0.007
O27 O 0.359 0.923 0.345
O28 O 0.367 0.535 0.878
O29 O 0.370 0.163 0.569
O30 O 0.391 0.828 0.584
O31 O 0.400 0.562 0.199
O32 O 0.436 0.959 0.800
O33 O 0.451 0.885 0.038
O34 O 0.456 0.489 0.428
O35 O 0.468 0.248 0.829
O36 O 0.484 0.838 0.921
O37 O 0.515 0.161 0.079
O38 O 0.536 0.748 0.171
O39 O 0.545 0.510 0.567
O40 O 0.549 0.115 0.962
O41 O 0.565 0.046 0.199
O42 O 0.600 0.439 0.801
O43 O 0.607 0.172 0.415
O44 O 0.630 0.835 0.431
O45 O 0.632 0.466 0.121
O46 O 0.637 0.078 0.655
O47 O 0.643 0.594 0.992
O48 O 0.650 0.957 0.313
O49 O 0.690 0.739 0.674
O50 O 0.695 0.255 0.011
O51 O 0.696 0.366 0.352
O52 O 0.700 0.868 0.545
O53 O 0.703 0.482 0.238
O54 O 0.732 0.166 0.256
O55 O 0.733 0.894 0.865
O56 O 0.771 0.291 0.468
O57 O 0.784 0.218 0.704
O58 O 0.787 0.823 0.099
O59 O 0.802 0.581 0.496
O60 O 0.817 0.171 0.587
O61 O 0.849 0.495 0.745
O62 O 0.865 0.085 0.837
O63 O 0.876 0.847 0.234
O64 O 0.882 0.449 0.629
O65 O 0.897 0.374 0.866
O66 O 0.933 0.772 0.468
O67 O 0.941 0.505 0.081
O68 O 0.963 0.172 0.098
O69 O 0.966 0.798 0.788
O70 O 0.970 0.400 0.318
O71 O 0.976 0.927 0.658
O72 O 0.984 0.287 0.979
```

6.
Density functional theory data (GGA-PBE) for an optimized crystal structure of CaGdThP3O12.

Computed properties:
- Total DFT energy (no corrections): -8.47 eV per atom
- E_form: -61.522 eV per formula unit

```
data_CaGdThP3O12
_chemical_formula_sum 'Ca4 Gd4 Th4 P12 O48'
_cell_length_a 6.448
_cell_length_b 6.762
_cell_length_c 20.883
_cell_angle_alpha 89.76
_cell_angle_beta 89.71
_cell_angle_gamma 75.91
_symmetry_space_group_name_H-M 'P 1'
_symmetry_Int_Tables_number 1
loop_
_symmetry_equiv_pos_as_xyz
'x,y,z'
loop_
_atom_site_label
_atom_site_type_symbol
_atom_site_fract_x
_atom_site_fract_y
_atom_site_fract_z
Ca1 Ca 0.000 0.000 0.000
Ca2 Ca 0.006 0.004 0.665
Ca3 Ca 0.303 0.069 0.504
Ca4 Ca 0.809 0.572 0.226
Gd1 Gd 0.001 0.997 0.334
Gd2 Gd 0.505 0.498 0.729
Gd3 Gd 0.509 0.499 0.061
Gd4 Gd 0.814 0.572 0.899
Th1 Th 0.300 0.063 0.834
Th2 Th 0.302 0.068 0.166
Th3 Th 0.511 0.500 0.393
Th4 Th 0.807 0.573 0.564
P1 P 0.019 0.485 0.059
P2 P 0.020 0.486 0.728
P3 P 0.024 0.479 0.393
P4 P 0.291 0.588 0.560
P5 P 0.292 0.591 0.227
P6 P 0.295 0.590 0.893
P7 P 0.517 0.986 0.669
P8 P 0.520 0.977 0.335
P9 P 0.522 0.983 0.002
P10 P 0.791 0.089 0.170
P11 P 0.792 0.091 0.835
P12 P 0.796 0.092 0.500
O1 O 0.094 0.757 0.579
O2 O 0.098 0.761 0.911
O3 O 0.103 0.768 0.247
O4 O 0.121 0.659 0.375
O5 O 0.131 0.655 0.711
O6 O 0.132 0.655 0.043
O7 O 0.188 0.412 0.543
O8 O 0.194 0.411 0.877
O9 O 0.195 0.412 0.210
O10 O 0.214 0.309 0.081
O11 O 0.214 0.309 0.749
O12 O 0.225 0.316 0.413
O13 O 0.343 0.035 0.618
O14 O 0.345 0.041 0.283
O15 O 0.349 0.036 0.949
O16 O 0.402 0.670 0.169
O17 O 0.405 0.895 0.391
O18 O 0.408 0.667 0.835
O19 O 0.410 0.662 0.502
O20 O 0.414 0.904 0.061
O21 O 0.419 0.902 0.730
O22 O 0.464 0.533 0.280
O23 O 0.466 0.532 0.612
O24 O 0.470 0.531 0.945
O25 O 0.589 0.255 0.815
O26 O 0.594 0.259 0.149
O27 O 0.601 0.266 0.480
O28 O 0.619 0.157 0.352
O29 O 0.619 0.162 0.019
O30 O 0.620 0.162 0.686
O31 O 0.683 0.916 0.186
O32 O 0.690 0.913 0.853
O33 O 0.697 0.913 0.519
O34 O 0.710 0.808 0.649
O35 O 0.712 0.808 0.981
O36 O 0.720 0.810 0.317
O37 O 0.841 0.537 0.110
O38 O 0.843 0.535 0.780
O39 O 0.850 0.542 0.446
O40 O 0.899 0.179 0.558
O41 O 0.903 0.396 0.339
O42 O 0.905 0.165 0.227
O43 O 0.905 0.177 0.890
O44 O 0.910 0.410 0.669
O45 O 0.913 0.407 0.001
O46 O 0.966 0.035 0.447
O47 O 0.968 0.030 0.783
O48 O 0.968 0.032 0.118
```